one.
MgFe10O16F4 | PBE with a Hubbard U | relaxed

abc: 4.907 5.558 12.874
angles: 78.51 89.76 89.34
Space group P1 (No. 1)
Asymmetric unit:
Mg 0.000 0.000 0.000
Fe 0.011 0.987 0.510
Fe 0.036 0.461 0.882
Fe 0.042 0.511 0.128
Fe 0.048 0.785 0.316
Fe 0.486 0.936 0.893
Fe 0.487 0.103 0.103
Fe 0.523 0.727 0.699
Fe 0.545 0.287 0.304
Fe 0.553 0.520 0.498
Fe 0.989 0.204 0.703
O 0.159 0.146 0.847
O 0.168 0.310 0.034
O 0.197 0.947 0.644
O 0.221 0.743 0.454
O 0.223 0.527 0.255
O 0.327 0.034 0.242
O 0.342 0.667 0.840
O 0.342 0.824 0.039
O 0.661 0.171 0.959
O 0.687 0.985 0.767
O 0.702 0.767 0.566
O 0.707 0.335 0.161
O 0.725 0.560 0.359
O 0.828 0.489 0.754
O 0.841 0.261 0.561
O 0.849 0.049 0.369
F 0.338 0.437 0.647
F 0.352 0.240 0.448
F 0.849 0.691 0.964
F 0.857 0.848 0.147

---

two.
MgFe10O16F4 | PBE with a Hubbard U | relaxed

abc: 4.916 5.708 12.757
angles: 99.38 91.05 92.28
Space group P1 (No. 1)
Asymmetric unit:
Mg 0.000 0.000 0.000
Fe 0.004 0.631 0.770
Fe 0.012 0.874 0.588
Fe 0.028 0.081 0.391
Fe 0.471 0.178 0.798
Fe 0.472 0.401 0.594
Fe 0.482 0.618 0.396
Fe 0.505 0.029 0.003
Fe 0.515 0.834 0.201
Fe 0.927 0.497 0.992
Fe 0.954 0.355 0.219
O 0.181 0.144 0.533
O 0.184 0.922 0.728
O 0.192 0.357 0.341
O 0.265 0.215 0.937
O 0.292 0.034 0.119
O 0.293 0.420 0.729
O 0.301 0.856 0.331
O 0.305 0.650 0.528
O 0.673 0.571 0.264
O 0.694 0.973 0.879
O 0.714 0.780 0.055
O 0.779 0.438 0.851
O 0.789 0.267 0.071
O 0.790 0.636 0.644
O 0.810 0.850 0.456
O 0.811 0.063 0.264
F 0.185 0.562 0.131
F 0.190 0.723 0.928
F 0.674 0.348 0.456
F 0.678 0.139 0.656

---

Which of them is least stable? Easy: two.

---

one.
MgMn2Tl2O6 | PBE with a Hubbard U | relaxed

abc: 5.1175 5.1175 22.0373
angles: 90.00 90.00 120.00
Space group R-3 (No. 148, hexagonal axes)
Asymmetric unit:
Mg 0.0000 0.0000 0.0000
Mn 0.0000 0.0000 0.3332
Tl 0.0000 0.0000 0.1315
O 0.0006 0.6485 0.0465

---

two.
MgMn2Tl2O6 | PBE with a Hubbard U | relaxed

abc: 5.561 5.580 6.195
angles: 63.37 89.86 60.34
Space group P-1 (No. 2)
Asymmetric unit:
Mg 0.000 0.000 0.000
Mn 0.175 0.650 0.529
Tl 0.377 0.249 0.122
O 0.046 0.156 0.244
O 0.201 0.204 0.759
O 0.405 0.562 0.233

---

Which of them is least stable? Easy: two.

---

one.
Li6VFe5O12 | PBE with a Hubbard U | relaxed

abc: 4.978 5.010 10.082
angles: 86.12 82.36 60.24
Space group P1 (No. 1)
Asymmetric unit:
Li 0.000 0.000 0.000
Li 0.089 0.329 0.519
Li 0.326 0.333 0.003
Li 0.418 0.669 0.519
Li 0.657 0.665 0.007
Li 0.750 0.002 0.521
V 0.025 0.672 0.761
Fe 0.208 0.331 0.261
Fe 0.381 0.996 0.761
Fe 0.538 0.668 0.262
Fe 0.711 0.334 0.761
Fe 0.871 0.002 0.261
O 0.011 0.349 0.879
O 0.064 0.987 0.643
O 0.195 0.644 0.368
O 0.261 0.000 0.150
O 0.331 0.668 0.877
O 0.384 0.349 0.646
O 0.485 0.999 0.373
O 0.551 0.355 0.153
O 0.693 0.987 0.882
O 0.748 0.668 0.641
O 0.841 0.352 0.370
O 0.906 0.645 0.155

---

two.
Li6VFe5O12 | PBE with a Hubbard U | relaxed

abc: 5.080 5.082 10.097
angles: 81.99 86.17 60.08
Space group P1 (No. 1)
Asymmetric unit:
Li 0.000 0.000 0.000
Li 0.002 0.240 0.485
Li 0.337 0.343 0.993
Li 0.340 0.555 0.494
Li 0.673 0.898 0.491
Li 0.675 0.668 0.994
V 0.337 0.950 0.243
Fe 0.008 0.616 0.243
Fe 0.340 0.450 0.743
Fe 0.666 0.286 0.243
Fe 0.672 0.783 0.743
Fe 0.999 0.118 0.743
O 0.001 0.745 0.853
O 0.005 0.310 0.129
O 0.005 0.492 0.633
O 0.006 0.923 0.357
O 0.336 0.645 0.126
O 0.337 0.257 0.359
O 0.348 0.085 0.850
O 0.349 0.805 0.636
O 0.663 0.421 0.853
O 0.665 0.153 0.632
O 0.669 0.979 0.130
O 0.670 0.590 0.356

---

Which of them is least stable? Easy: one.